[1]
Material: RbBi
Method: DFT, meta-GGA r2SCAN
State: optimized geometry

Values from the calculation:
Total magnetization ... 0.0000 μB/atom
Formation energy ... -0.474 eV per atom
Final energy ... -36.691 eV per atom

Unit cell a=7.541 b=14.121 c=14.991 alpha=113.39 beta=90.00 gamma=90.00
Atoms (fractional coordinates):
Rb 0.424 0.689 0.656
Rb 0.576 0.311 0.344
Bi 0.366 0.813 0.928
Rb 0.359 0.049 0.851
Bi 0.134 0.313 0.928
Bi 0.374 0.364 0.104
Bi 0.299 0.381 0.575
Rb 0.304 0.033 0.395
Rb 0.804 0.467 0.605
Bi 0.626 0.636 0.896
Bi 0.067 0.270 0.398
Rb 0.618 0.355 0.876
Rb 0.641 0.951 0.149
Rb 0.859 0.451 0.149
Bi 0.874 0.136 0.896
Bi 0.799 0.119 0.425
Rb 0.696 0.967 0.605
Bi 0.126 0.864 0.104
Bi 0.933 0.730 0.602
Bi 0.567 0.230 0.602
Rb 0.924 0.811 0.344
Rb 0.882 0.855 0.876
Bi 0.866 0.687 0.072
Rb 0.196 0.533 0.395
Rb 0.141 0.549 0.851
Bi 0.634 0.187 0.072
Rb 0.382 0.645 0.124
Bi 0.701 0.619 0.425
Rb 0.118 0.145 0.124
Bi 0.433 0.770 0.398
Rb 0.076 0.189 0.656
Bi 0.201 0.881 0.575

[2]
Material: SmHoTl2
Method: DFT, meta-GGA r2SCAN
State: optimized geometry

Values from the calculation:
Total magnetization ... 0.0002 μB/atom
Formation energy ... -0.458 eV per atom
Final energy ... -42.701 eV per atom

Unit cell a=5.374 b=5.374 c=5.374 alpha=60.00 beta=60.00 gamma=60.00
Atoms (fractional coordinates):
Tl 0.500 0.500 0.500
Sm 0.750 0.750 0.750
Ho 0.250 0.250 0.250
Tl 0.000 0.000 0.000

[3]
Material: BaAg6O4
Method: DFT, meta-GGA r2SCAN
State: optimized geometry

Values from the calculation:
Total magnetization ... 0.0000 μB/atom
Formation energy ... -0.682 eV per atom
Final energy ... -16.912 eV per atom

Unit cell a=6.640 b=9.110 c=12.863 alpha=90.00 beta=90.00 gamma=90.00
Atoms (fractional coordinates):
Ag 0.293 0.262 0.126
O 0.577 0.336 0.394
Ba 0.750 0.122 0.500
O 0.577 0.164 0.106
Ag 0.207 0.262 0.874
Ba 0.750 0.378 0.000
Ba 0.250 0.878 0.500
Ag 0.000 0.000 0.000
O 0.948 0.909 0.630
Ag 0.576 0.466 0.263
O 0.923 0.164 0.894
Ag 0.076 0.534 0.263
O 0.052 0.091 0.370
Ag 0.424 0.534 0.737
Ba 0.250 0.622 0.000
Ag 0.707 0.738 0.874
O 0.552 0.909 0.370
Ag 0.576 0.034 0.237
O 0.448 0.409 0.870
O 0.448 0.091 0.630
Ag 0.924 0.466 0.737
O 0.423 0.664 0.606
O 0.948 0.591 0.870
Ag 0.101 0.750 0.750
Ag 0.500 0.500 0.500
O 0.423 0.836 0.894
Ag 0.076 0.966 0.237
Ag 0.707 0.762 0.626
Ag 0.000 0.500 0.500
O 0.552 0.591 0.130
Ag 0.500 0.000 0.000
O 0.077 0.836 0.106
O 0.923 0.336 0.606
Ag 0.424 0.966 0.763
O 0.077 0.664 0.394
Ag 0.293 0.238 0.374
O 0.052 0.409 0.130
Ag 0.899 0.250 0.250
Ag 0.793 0.762 0.374
Ag 0.924 0.034 0.763
Ag 0.207 0.238 0.626
Ag 0.793 0.738 0.126
Ag 0.399 0.750 0.250
Ag 0.601 0.250 0.750

[4]
Material: Tm2OsRu
Method: DFT, meta-GGA r2SCAN
State: optimized geometry

Values from the calculation:
Total magnetization ... 0.0000 μB/atom
Formation energy ... -0.355 eV per atom
Final energy ... -37.518 eV per atom

Unit cell a=4.723 b=4.723 c=4.723 alpha=60.00 beta=60.00 gamma=60.00
Atoms (fractional coordinates):
Os 0.250 0.250 0.250
Ru 0.750 0.750 0.750
Tm 0.500 0.500 0.500
Tm 0.000 0.000 0.000

What did the fourth record say?
Material: Tm2OsRu
Method: DFT, meta-GGA r2SCAN
State: optimized geometry

Values from the calculation:
Total magnetization ... 0.0000 μB/atom
Formation energy ... -0.355 eV per atom
Final energy ... -37.518 eV per atom

Unit cell a=4.723 b=4.723 c=4.723 alpha=60.00 beta=60.00 gamma=60.00
Atoms (fractional coordinates):
Os 0.250 0.250 0.250
Ru 0.750 0.750 0.750
Tm 0.500 0.500 0.500
Tm 0.000 0.000 0.000

- What is the total magnetization in the first record?
  0.0000 μB/atom